Crystalline Ni17Ge4Se4 at its relaxed geometry, computed with PBE.

a = 3.601 Å, b = 3.601 Å, c = 25.430 Å
α = 90.00°, β = 90.00°, γ = 90.00°
Sites, in units of the cell vectors:
Ni (0.000, 0.500, 0.000)
Ni (0.000, 0.500, 0.363)
Ni (0.000, 0.500, 0.639)
Ni (0.000, 0.000, 0.432)
Ni (0.000, 0.500, 0.500)
Ni (0.000, 0.000, 0.569)
Ni (0.500, 0.500, 0.069)
Ni (0.500, 0.500, 0.931)
Ni (0.500, 0.000, 0.500)
Ni (0.500, 0.000, 0.639)
Ni (0.500, 0.000, 0.139)
Ni (0.000, 0.500, 0.139)
Ni (0.500, 0.000, 0.363)
Ni (0.500, 0.000, 0.861)
Ni (0.000, 0.500, 0.861)
Ni (0.500, 0.000, 0.000)
Ni (0.500, 0.500, 0.286)
Ge (0.500, 0.500, 0.570)
Ge (0.000, 0.000, 0.929)
Ge (0.000, 0.000, 0.070)
Ge (0.500, 0.500, 0.430)
Se (0.500, 0.500, 0.197)
Se (0.000, 0.000, 0.298)
Se (0.500, 0.500, 0.803)
Se (0.000, 0.000, 0.697)

Energy: -0.20277 Ha/atom
Space-group type: No. 99
Energy with MP2020 corrections: -5.59 eV per atom
Energy relative to the elements: -0.36 eV/atom
Calculated volume: 13.19 A^3/atom

Crystalline Li4ZrF8 at its relaxed geometry, computed with PBE.

a = 5.758 Å, b = 9.738 Å, c = 9.747 Å
α = 90.00°, β = 90.00°, γ = 90.00°
Sites, in units of the cell vectors:
F (0.147, 0.020, 0.384)
F (0.381, 0.712, 0.750)
F (0.872, 0.266, 0.963)
F (0.647, 0.480, 0.616)
F (0.602, 0.022, 0.121)
F (0.853, 0.980, 0.616)
F (0.628, 0.766, 0.537)
F (0.119, 0.212, 0.750)
F (0.398, 0.978, 0.879)
F (0.881, 0.788, 0.250)
F (0.602, 0.022, 0.379)
F (0.398, 0.978, 0.621)
F (0.120, 0.286, 0.250)
F (0.880, 0.714, 0.750)
F (0.853, 0.980, 0.884)
F (0.647, 0.480, 0.884)
F (0.380, 0.786, 0.250)
F (0.102, 0.478, 0.621)
F (0.372, 0.234, 0.037)
F (0.128, 0.734, 0.463)
F (0.353, 0.520, 0.384)
F (0.102, 0.478, 0.879)
F (0.147, 0.020, 0.116)
F (0.353, 0.520, 0.116)
F (0.128, 0.734, 0.037)
F (0.372, 0.234, 0.463)
F (0.628, 0.766, 0.963)
F (0.898, 0.522, 0.379)
F (0.898, 0.522, 0.121)
F (0.619, 0.288, 0.250)
F (0.620, 0.214, 0.750)
F (0.872, 0.266, 0.537)
Li (0.630, 0.397, 0.081)
Li (0.130, 0.103, 0.919)
Li (0.619, 0.131, 0.942)
Li (0.881, 0.631, 0.558)
Li (0.370, 0.603, 0.581)
Li (0.619, 0.131, 0.558)
Li (0.881, 0.631, 0.942)
Li (0.119, 0.369, 0.058)
Li (0.870, 0.897, 0.081)
Li (0.370, 0.603, 0.919)
Li (0.870, 0.897, 0.419)
Li (0.119, 0.369, 0.442)
Li (0.381, 0.869, 0.442)
Li (0.381, 0.869, 0.058)
Li (0.630, 0.397, 0.419)
Li (0.130, 0.103, 0.581)
Zr (0.870, 0.366, 0.750)
Zr (0.370, 0.134, 0.250)
Zr (0.130, 0.634, 0.250)
Zr (0.630, 0.866, 0.750)

Energy: -0.20807 Ha/atom
Space-group type: No. 62
Energy with MP2020 corrections: -5.95 eV per atom
Energy relative to the elements: -3.52 eV/atom
Calculated volume: 10.51 A^3/atom

Crystalline HfMg6Cu at its relaxed geometry, computed with PBE.

a = 4.893 Å, b = 6.081 Å, c = 11.179 Å
α = 90.00°, β = 90.00°, γ = 90.00°
Sites, in units of the cell vectors:
Mg (0.500, 0.254, 0.425)
Mg (0.000, 0.244, 0.580)
Mg (0.500, 0.746, 0.425)
Mg (0.000, 0.744, 0.080)
Mg (0.500, 0.246, 0.925)
Mg (0.500, 0.754, 0.925)
Mg (0.000, 0.256, 0.080)
Mg (0.500, 0.500, 0.667)
Mg (0.500, 0.000, 0.167)
Mg (0.000, 0.000, 0.325)
Mg (0.000, 0.500, 0.825)
Mg (0.000, 0.756, 0.580)
Hf (0.500, 0.500, 0.187)
Hf (0.500, 0.000, 0.687)
Cu (0.000, 0.000, 0.812)
Cu (0.000, 0.500, 0.312)

Energy: -0.10480 Ha/atom
Energy relative to the elements: 0.11 eV/atom
Calculated volume: 20.79 A^3/atom

Crystalline Ta2N at its relaxed geometry, computed with PBE.

a = 3.113 Å, b = 3.113 Å, c = 4.870 Å
α = 90.00°, β = 90.00°, γ = 120.00°
Sites, in units of the cell vectors:
Ta (0.333, 0.667, 0.255)
Ta (0.667, 0.333, 0.745)
N (0.000, 0.000, 0.000)

Energy: -0.42215 Ha/atom
Space-group type: No. 164
Energy with MP2020 corrections: -11.61 eV per atom
Energy relative to the elements: -0.92 eV/atom
Calculated volume: 13.62 A^3/atom

Crystalline Na5H3C4O12 at its relaxed geometry, computed with PBE.

a = 3.511 Å, b = 10.134 Å, c = 15.725 Å
α = 107.76°, β = 95.55°, γ = 95.14°
Sites, in units of the cell vectors:
O (0.074, 0.878, 0.187)
O (0.889, 0.062, 0.330)
O (0.375, 0.343, 0.109)
O (0.621, 0.541, 0.221)
O (0.355, 0.929, 0.542)
O (0.058, 0.617, 0.697)
O (0.714, 0.445, 0.903)
O (0.262, 0.137, 0.638)
O (0.645, 0.071, 0.458)
O (0.111, 0.938, 0.670)
O (0.305, 0.853, 0.056)
O (0.309, 0.412, 0.434)
O (0.691, 0.588, 0.566)
O (0.180, 0.601, 0.395)
O (0.697, 0.930, 0.846)
O (0.303, 0.070, 0.154)
O (0.625, 0.657, 0.891)
O (0.942, 0.383, 0.303)
O (0.695, 0.147, 0.944)
O (0.738, 0.863, 0.362)
O (0.379, 0.459, 0.779)
O (0.820, 0.399, 0.605)
O (0.286, 0.555, 0.097)
O (0.926, 0.122, 0.813)
Na (0.180, 0.718, 0.280)
Na (0.812, 0.182, 0.099)
Na (0.772, 0.748, 0.477)
Na (0.228, 0.252, 0.523)
Na (0.214, 0.327, 0.952)
Na (0.820, 0.282, 0.720)
Na (0.572, 0.786, 0.692)
Na (0.188, 0.818, 0.901)
Na (0.786, 0.673, 0.048)
Na (0.428, 0.214, 0.308)
C (0.238, 0.937, 0.129)
C (0.861, 0.531, 0.623)
C (0.583, 0.525, 0.862)
C (0.762, 0.063, 0.871)
C (0.759, 0.995, 0.381)
C (0.139, 0.469, 0.377)
C (0.417, 0.475, 0.138)
C (0.241, 0.005, 0.619)
H (0.998, 0.046, 0.759)
H (0.726, 0.470, 0.251)
H (0.274, 0.530, 0.749)
H (0.500, 0.500, 0.500)
H (0.500, 0.000, 0.500)
H (0.002, 0.954, 0.241)

Energy: -0.23078 Ha/atom
Space-group type: No. 2
Energy with MP2020 corrections: -6.62 eV per atom
Energy relative to the elements: -1.91 eV/atom
Calculated volume: 10.96 A^3/atom

Crystalline Ba3LiIn11 at its relaxed geometry, computed with PBE.

a = 10.525 Å, b = 10.525 Å, c = 9.616 Å
α = 90.00°, β = 90.00°, γ = 120.00°
Sites, in units of the cell vectors:
In (0.667, 0.333, 0.954)
In (0.103, 0.897, 0.750)
In (0.897, 0.103, 0.250)
In (0.667, 0.333, 0.546)
In (0.831, 0.169, 0.953)
In (0.661, 0.831, 0.453)
In (0.661, 0.831, 0.047)
In (0.831, 0.169, 0.547)
In (0.333, 0.667, 0.046)
In (0.333, 0.667, 0.454)
In (0.831, 0.661, 0.953)
In (0.169, 0.339, 0.453)
In (0.169, 0.831, 0.453)
In (0.169, 0.831, 0.047)
In (0.831, 0.661, 0.547)
In (0.103, 0.205, 0.750)
In (0.339, 0.169, 0.953)
In (0.795, 0.897, 0.750)
In (0.339, 0.169, 0.547)
In (0.169, 0.339, 0.047)
In (0.205, 0.103, 0.250)
In (0.897, 0.795, 0.250)
Ba (0.483, 0.517, 0.750)
Ba (0.034, 0.517, 0.750)
Ba (0.517, 0.483, 0.250)
Ba (0.966, 0.483, 0.250)
Ba (0.517, 0.034, 0.250)
Ba (0.483, 0.966, 0.750)
Li (0.000, 0.000, 0.500)
Li (0.000, 0.000, 0.000)

Energy: -0.10482 Ha/atom
Space-group type: No. 194
Energy relative to the elements: -0.32 eV/atom
Calculated volume: 30.75 A^3/atom

Crystalline BaSrPrNbO6 at its relaxed geometry, computed with PBE.

a = 6.075 Å, b = 6.136 Å, c = 8.617 Å
α = 90.45°, β = 89.56°, γ = 89.76°
Sites, in units of the cell vectors:
O (0.234, 0.194, 0.534)
O (0.571, 0.038, 0.729)
O (0.910, 0.510, 0.771)
O (0.733, 0.309, 0.048)
O (0.686, 0.273, 0.453)
O (0.766, 0.806, 0.466)
O (0.090, 0.490, 0.229)
O (0.314, 0.727, 0.547)
O (0.429, 0.962, 0.271)
O (0.806, 0.765, 0.042)
O (0.194, 0.235, 0.958)
O (0.267, 0.691, 0.952)
Nb (0.500, 0.000, 0.500)
Nb (0.000, 0.500, 0.000)
Sr (0.509, 0.539, 0.252)
Sr (0.491, 0.461, 0.748)
Ba (0.006, 0.969, 0.750)
Ba (0.994, 0.031, 0.250)
Pr (0.000, 0.500, 0.500)
Pr (0.500, 0.000, 0.000)

Energy: -0.28515 Ha/atom
Space-group type: No. 2
Energy with MP2020 corrections: -8.17 eV per atom
Energy relative to the elements: -3.35 eV/atom
Calculated volume: 16.06 A^3/atom

Crystalline Li3Eu2B3O9 at its relaxed geometry, computed with PBE.

a = 6.757 Å, b = 6.835 Å, c = 11.159 Å
α = 90.00°, β = 90.00°, γ = 105.71°
Sites, in units of the cell vectors:
B (0.074, 0.452, 0.636)
B (0.926, 0.548, 0.136)
B (0.753, 0.401, 0.512)
B (0.694, 0.526, 0.727)
B (0.306, 0.474, 0.227)
B (0.247, 0.599, 0.012)
Li (0.063, 0.659, 0.841)
Li (0.937, 0.341, 0.341)
Li (0.321, 0.466, 0.783)
Li (0.359, 0.245, 0.401)
Li (0.679, 0.534, 0.283)
Li (0.641, 0.755, 0.901)
O (0.823, 0.708, 0.765)
O (0.047, 0.312, 0.726)
O (0.574, 0.392, 0.805)
O (0.699, 0.943, 0.532)
O (0.337, 0.514, 0.102)
O (0.216, 0.014, 0.491)
O (0.177, 0.292, 0.265)
O (0.788, 0.362, 0.146)
O (0.961, 0.395, 0.526)
O (0.953, 0.688, 0.226)
O (0.426, 0.608, 0.305)
O (0.039, 0.605, 0.026)
O (0.663, 0.486, 0.602)
O (0.301, 0.057, 0.032)
O (0.784, 0.986, 0.991)
O (0.212, 0.638, 0.646)
O (0.663, 0.339, 0.407)
O (0.337, 0.661, 0.907)
Eu (0.394, 0.793, 0.478)
Eu (0.024, 0.013, 0.130)
Eu (0.606, 0.207, 0.978)
Eu (0.976, 0.987, 0.630)

Energy: -0.28143 Ha/atom
Space-group type: No. 4
Energy with MP2020 corrections: -8.02 eV per atom
Energy relative to the elements: -2.68 eV/atom
Calculated volume: 14.59 A^3/atom